1.
Here is crystalline Na2La4Si3Ge4S9O48 at its relaxed geometry from the Materials Project database. Energies are from PBE-GGA.

```
210
Lattice="18.1323 -0.1312 0.2731 -4.5897 7.9088 0.0353 0.3527 0.3099 23.8689" Properties=species:S:1:pos:R:3 pbc="T T T"
Na 18.1513 0.1513 12.2175
Na 4.4932 7.6440 0.2048
Na 4.6527 2.6730 19.9678
Na 13.8008 2.7646 19.9222
Na 4.6022 2.6204 7.8513
Na 13.4717 2.6181 8.1393
La 0.2881 0.1692 8.3123
La 9.4870 0.3107 20.4077
La 0.2313 0.2528 15.4178
La 4.5772 7.8816 3.6701
La 4.6241 2.8559 23.5771
La 14.1077 2.9424 23.7515
La 4.9141 2.8202 11.6082
La 13.6128 2.5078 11.7960
La -0.0294 5.4407 7.2610
La 9.2139 5.2993 7.4117
La 0.2921 5.6375 19.2648
La 9.3194 5.2639 19.3107
Si 2.7731 0.3336 5.7488
Si 11.8144 0.3302 6.1267
Si 10.8977 2.3598 17.8272
Si 7.5283 2.7473 14.0833
Si 16.3903 2.8309 14.1829
Si 5.9625 4.7988 2.1419
Si 14.8766 4.8853 2.4055
Si -1.1435 7.8277 21.8971
Si 10.4246 2.9294 10.0749
Ge 9.5128 0.2969 8.6677
Ge 0.4478 0.3060 20.6993
Ge 9.3681 0.4363 15.5493
Ge -4.2676 7.8345 3.5399
Ge 5.0018 3.0072 16.2430
Ge 13.9466 2.6309 16.5431
Ge 4.5253 2.8539 4.5026
Ge 13.7895 2.5999 4.6710
Ge -0.4698 5.7111 0.7147
Ge 8.9524 5.2934 0.9947
Ge 0.1222 5.3259 12.6607
Ge 9.4627 4.8750 12.6136
S 3.4864 5.4391 6.1509
S 12.5739 5.5001 5.9559
S 16.7231 2.1193 5.9894
S 7.6153 2.1881 6.1761
S 1.8179 2.3796 18.0536
S 14.9540 5.5403 18.2347
S 5.8633 5.6916 17.8008
S 6.7329 0.4384 17.6874
S 15.6825 0.4136 18.1855
S 3.5739 0.3012 13.9120
S 12.3707 0.2778 14.3323
S 3.3397 5.2114 14.1610
S 12.2610 5.0213 14.1141
S 5.7803 0.1421 2.0471
S 15.0296 0.1306 2.3878
S 1.6935 2.6199 2.2658
S 10.8685 2.8128 2.1011
S 2.8234 5.6504 22.1383
S 12.0084 5.5996 22.0786
S -0.8712 3.1092 21.8685
S 8.1587 3.2002 22.2619
S 8.0556 7.6348 22.2919
S 1.6131 7.6117 9.9822
S 10.5310 7.4072 10.3749
S 1.3505 3.1502 10.1972
S -2.4692 5.4835 10.1696
S 6.4728 5.5832 10.0385
O 2.0589 0.6989 7.1704
O 10.8452 0.5721 7.4781
O 4.1063 6.0435 7.3252
O 13.0684 6.0706 7.2252
O 7.9130 1.3568 7.4051
O 16.9049 1.3967 7.2842
O 1.5595 1.5490 19.3179
O 10.8519 1.5472 19.2514
O 5.3109 6.1701 19.0900
O 14.3849 6.1585 19.4834
O 7.4398 0.6132 18.9717
O 16.4848 0.6376 19.4007
O 7.6717 0.2463 16.5531
O 16.4304 0.1531 16.9933
O 1.2636 1.7823 16.8763
O 10.0943 1.5052 16.7048
O 14.7101 6.3399 17.0576
O 5.4829 6.5320 16.6652
O 3.5642 6.1830 4.9257
O 12.8207 6.4354 4.8007
O 17.2598 1.3806 4.8548
O 8.1638 1.6062 4.9684
O 1.6431 0.0670 4.6302
O 6.4119 7.8366 4.8432
O 6.5115 3.1731 15.3682
O 15.3195 3.0269 15.5295
O 4.1211 0.9560 15.1455
O 13.0389 1.0010 15.4619
O 3.5585 4.2205 15.3772
O 12.4912 4.1938 15.3151
O 5.5842 3.7824 3.4611
O 14.6430 3.7269 3.5989
O 5.1855 0.7543 3.2257
O 14.3022 0.7762 3.5294
O 2.6722 2.8259 3.3962
O 11.6831 2.9334 3.3163
O 2.3987 2.1932 1.0628
O 11.6539 2.5462 0.8953
O 5.2678 4.2062 0.7913
O 14.2110 4.3710 1.0512
O 5.5742 0.8825 0.8050
O 14.8921 0.9315 1.1579
O 3.7074 1.1265 12.7163
O 12.3389 1.0800 13.1351
O 3.9934 4.6670 12.9827
O 12.8124 4.4757 12.8955
O 6.6280 2.3742 12.8266
O 15.5195 2.5624 12.8633
O 1.9747 5.6406 23.3632
O 11.2811 5.7784 23.3373
O -0.4299 3.6821 23.1090
O 8.6730 3.9484 23.4367
O -0.8794 6.9606 23.3356
O 8.4173 6.8790 23.5940
O 1.3809 6.8905 11.2784
O 10.0928 6.6450 11.6468
O 0.8581 3.8374 11.4902
O 9.8243 3.6273 11.4570
O -1.5649 5.5450 11.3751
O 7.1881 5.6919 11.3033
O -1.7078 5.4501 8.8964
O 7.3484 5.3768 8.8776
O 0.9639 6.9500 8.8409
O 10.1222 6.7582 9.1311
O 0.9359 3.8647 8.9740
O 10.2813 3.8732 8.7481
O -0.5475 3.9100 20.6603
O 8.4987 3.8699 20.9705
O -0.5181 7.0976 20.6197
O 8.4742 6.9224 21.0781
O 2.0494 5.6304 20.8734
O 11.1483 5.4463 20.8961
O -3.3137 6.7171 10.1868
O 5.6738 6.8973 9.8620
O 3.1085 7.6551 9.7883
O 12.0120 7.5470 10.4347
O 0.7198 1.7946 10.2105
O 9.5994 1.5405 9.8984
O -0.1315 1.7399 21.7432
O 8.8047 1.8470 22.2443
O -2.7963 7.8159 21.7574
O 6.5654 7.7622 22.3107
O 3.6829 6.8706 22.1630
O 12.8028 6.9370 21.9261
O 8.5223 1.4848 14.4162
O 17.4212 1.6159 14.3555
O -2.4326 7.8780 14.0826
O 6.2718 7.8924 14.6159
O 3.8521 6.5532 14.5177
O 12.7148 6.4074 14.2753
O 5.3983 6.3246 2.2366
O 14.3528 6.4092 2.7115
O 2.6104 7.7240 2.2129
O 11.8584 7.7828 2.7223
O 0.7137 1.4343 2.4994
O 9.8429 1.7650 2.1797
O 5.8580 1.6959 17.5507
O 14.8569 1.6958 17.9809
O 3.3300 2.4689 17.9515
O 12.5123 2.5273 17.5277
O 5.2150 4.2615 17.6508
O 14.2850 4.1962 18.0648
O 4.2104 4.0785 5.9337
O 13.2626 4.1946 5.8107
O 6.1141 2.2747 6.0501
O 15.1965 2.2516 5.8915
O 3.7556 1.6336 5.4625
O 12.7068 1.7243 5.8146
O 3.7089 4.4631 22.0746
O 12.9567 4.4602 22.1236
O 6.6944 3.0481 22.2474
O 15.8073 2.6971 22.0913
O 4.0325 1.4189 21.9144
O 13.2458 1.0709 22.2880
O 5.6318 1.0907 10.0217
O 14.5170 0.8514 10.3343
O 2.8127 3.0059 10.2292
O 12.0515 2.7076 10.1127
O 5.4858 4.4742 10.0344
O 14.8020 4.1636 10.4304
O 0.8831 3.8215 2.0924
O 10.1632 4.1874 1.9538
O -1.5869 5.0788 1.8953
O 7.6039 4.8669 2.0314
O 0.4579 6.6611 1.9387
O 9.7252 6.6832 2.1774
O -0.2131 6.9025 13.7865
O 8.4264 6.8556 14.1820
O 1.8378 5.2737 13.9717
O 10.7082 5.0947 13.9547
O -0.8237 4.3629 13.7981
O 8.3686 4.1529 13.8012
O -0.8724 6.9273 5.9025
O 8.3226 7.0529 6.4325
O 2.0637 5.0810 6.3777
O 11.1122 5.3038 5.9425
O -0.8423 3.6089 5.8151
O 8.1384 3.5559 6.3171
O 1.2648 3.7399 18.2142
O 10.2358 3.8222 17.9736
O -1.7251 5.4413 18.0929
O 7.3156 5.4990 17.8877
O 1.2660 7.1691 17.7141
O 10.0989 7.2348 18.3920
```

Summary:
Energy of formation from the pure elements ... -2.30 eV/atom
Space group ... P1

---

2.
Here is crystalline Pr3AlCoS7 at its relaxed geometry from the Materials Project database. Energies are from PBE-GGA.

```
24
Lattice="5.0240 -8.7018 0.0000 5.0240 8.7018 0.0000 0.0000 0.0000 6.0291" Properties=species:S:1:pos:R:3 pbc="T T T"
Pr 7.4710 1.9972 1.5617
Pr 4.5829 5.4714 1.5617
Pr 3.0182 1.2332 1.5617
Pr 2.5771 -1.9972 4.5763
Pr 5.4652 -5.4714 4.5763
Pr 7.0298 -1.2332 4.5763
Al 5.0240 2.9006 5.0362
Al 5.0240 -2.9006 2.0217
Co 0.0000 0.0000 2.8606
Co 0.0000 0.0000 5.8751
S 8.5320 1.1661 4.3016
S 4.7722 6.8059 4.3016
S 1.7678 0.7299 4.3016
S 1.5160 -1.1661 1.2870
S 5.2758 -6.8059 1.2870
S 8.2802 -0.7299 1.2870
S 5.3363 0.8434 5.9108
S 6.6494 4.1997 5.9108
S 3.0863 3.6587 5.9108
S 4.7117 -0.8434 2.8962
S 3.3986 -4.1997 2.8962
S 6.9618 -3.6587 2.8962
S 5.0240 2.9006 2.8190
S 5.0240 -2.9006 5.8335
```

Summary:
Energy of formation from the pure elements ... -1.84 eV/atom
Space group ... P6_3

---

3.
Here is crystalline Cs5Ag4C8IN8 at its relaxed geometry from the Materials Project database. Energies are from PBE-GGA.

```
156
Lattice="-3.9850 -16.9055 -1.4633 11.1351 2.2210 13.2247 -14.5216 9.1511 3.0324" Properties=species:S:1:pos:R:3 pbc="T T T"
Cs -9.3687 -7.0886 1.4169
Cs -4.8403 6.3807 8.7113
Cs -6.1102 -14.8747 -0.0191
Cs -3.6833 -5.9975 7.9333
Cs -3.2012 4.2391 13.4660
Cs -5.7539 -0.0637 14.2267
Cs -12.5081 8.4642 5.5224
Cs -12.3108 4.0585 3.9406
Cs 5.6147 2.1180 12.1468
Cs -5.1307 -9.4594 3.9581
Cs -6.5749 -2.9980 2.4518
Cs 1.1293 -5.2040 5.4655
Cs 9.3692 -0.5322 13.0586
Cs -9.0064 1.8045 1.5009
Cs -10.2040 -5.9050 9.8245
Cs -5.4262 1.9119 9.9910
Cs -2.5183 -13.0931 2.4049
Cs 1.1631 -10.1448 10.2606
Cs 4.8012 -6.3540 8.7523
Cs 0.4151 -5.4685 10.1411
Cs 3.3812 3.0204 8.1283
Cs -7.8891 -6.1268 5.7571
Cs -2.4751 -7.8677 12.9416
Cs -1.9299 2.6656 6.8847
Cs -0.0968 -9.1201 1.8543
Cs -12.4729 -4.9868 5.3953
Cs 3.0175 -1.6547 10.9374
Cs -2.3984 -1.6577 10.1968
Cs -6.8531 -2.0541 7.8288
Cs -8.7120 2.9883 6.8294
Ag -4.1222 -0.5057 4.7488
Ag 0.1084 3.9261 10.5722
Ag -1.3555 7.2656 11.2440
Ag -7.7240 -3.1662 12.2273
Ag 7.1973 -3.6013 11.2235
Ag -5.5808 2.8357 4.0589
Ag -0.1475 0.8680 12.6581
Ag 5.6666 -6.5661 12.8401
Ag -8.8745 7.5706 7.3938
Ag -12.7084 -4.2299 1.2873
Ag 0.8656 -9.5724 5.9007
Ag -4.3970 -4.1938 13.5008
Ag -2.6374 -3.8636 4.2327
Ag -8.2525 7.1101 11.0198
Ag -7.9974 -11.2313 0.7984
Ag -2.4884 -9.9761 7.4357
Ag -6.4657 -6.5918 11.5730
Ag -3.5214 -6.3690 1.6422
Ag 2.8791 -1.1381 6.7880
Ag 4.1550 -10.4736 7.3547
Ag -10.8450 -10.6257 3.0943
Ag -10.7191 -1.6687 3.0844
Ag -0.7697 -1.2823 6.1288
Ag -10.7244 -0.9206 6.7188
C 5.5317 -13.8033 9.8782
C 3.2063 0.5239 5.6011
C 6.3290 -1.9979 12.1885
C -1.8648 -8.7756 8.9934
C -4.4836 -3.9146 5.1636
C 2.0744 4.1092 11.1705
C -2.1996 0.9741 12.4732
C -8.3052 4.9516 3.9058
C -6.3217 -1.9379 11.3434
C -1.9500 9.6207 14.9114
C 1.5416 -8.2173 7.3095
C -0.3482 -2.5675 12.9420
C -5.5781 2.6074 2.0032
C -10.3138 6.1615 6.9475
C -1.0718 -3.0287 7.1950
C -0.6234 6.5446 13.0330
C -3.8947 -9.6525 0.6411
C 0.4238 -11.1463 4.6421
C -7.8547 5.3094 10.0947
C -9.0755 0.0791 9.5832
C -16.8103 -5.7472 1.7587
C 2.8388 -11.9911 7.8252
C -5.3288 3.3020 6.0528
C -6.7246 3.7555 13.4201
C -10.1552 -2.8723 7.0704
C 5.5320 -0.3043 8.8348
C -3.3388 -4.6896 11.8005
C 2.7319 -2.9713 7.7229
C -3.9036 -0.7748 2.7150
C -3.1112 -11.4402 6.1142
C -9.9781 -3.5875 3.3011
C 1.5387 -8.0605 13.1181
C 1.8529 0.8455 13.1830
C -5.4503 -6.3712 2.3741
C -1.7282 -6.2089 0.6240
C -3.9874 -0.2199 6.7928
C -5.7337 -8.8893 7.8939
C -11.7590 0.0857 2.7727
C -1.9172 4.0330 10.1680
C -0.5364 0.2617 4.7805
C -6.5489 -12.0707 2.0041
C -11.6029 0.9405 6.5137
C -6.7272 -5.6736 9.7441
C -0.8903 -3.4880 3.2017
C -13.9484 -3.3607 2.6884
C 4.1320 -5.4375 12.0478
C -9.2238 -9.5900 3.8397
C -11.3611 -8.1157 6.6697
I -4.8532 7.5598 12.3890
I 4.9392 -9.5918 10.8532
I 0.5176 0.5934 9.0368
I -12.9862 -7.6513 2.6470
I -1.9454 -7.4453 4.8028
I -7.7866 -0.0649 4.6527
N -11.1345 5.3485 6.7199
N -3.3729 1.0333 12.3961
N -15.2424 3.0675 3.0705
N 0.6375 -7.4935 12.6277
N 5.0874 0.6604 9.3307
N -6.4195 2.7324 12.9361
N -6.8602 -5.1279 8.7093
N -5.5072 -1.2600 10.8302
N -12.1314 1.9789 6.3854
N 8.7945 2.2488 11.6940
N -3.0190 -10.1337 1.2541
N -9.1203 4.1799 3.5676
N -1.2225 -4.0364 7.7746
N -3.7513 -0.9347 1.5585
N 2.6688 -4.0273 8.2397
N 5.5952 4.6984 14.0636
N -7.6536 4.2826 9.5548
N -9.5891 -4.6844 3.4413
N -12.7491 7.0076 2.7390
N 3.2661 -4.7708 11.6097
N 1.9228 -7.4758 8.1334
N -3.0714 4.1001 9.9746
N -3.8861 -0.0314 7.9453
N -3.4386 -12.2924 5.3790
N -12.3720 1.0723 2.5802
N 0.3225 -2.8683 12.0289
N -8.3277 0.8466 9.1081
N -0.1803 6.1288 14.0415
N -5.9302 -8.4388 6.8297
N -9.8522 -3.9888 7.2892
N -0.6025 -15.4596 3.4357
N -8.2833 -9.0230 4.2643
N 2.9816 0.8642 13.4990
N -0.4167 1.1272 3.9913
N 2.0810 -12.8595 8.0661
N -6.5608 -6.3674 2.7655
N 3.1910 4.2404 11.5200
N -5.1710 3.5917 7.1830
N -14.6494 -2.8390 3.4775
N -2.7575 -4.9653 10.8144
N -3.0133 -14.4868 -0.4493
N 5.8178 -1.1009 12.7547
N 0.1960 -12.0572 3.9318
N -1.5171 -8.1106 9.9007
N -5.5450 -3.9292 5.6608
N 0.1004 -3.2458 2.6133
N -10.4922 -7.4548 7.0965
N -5.7398 -12.5470 2.7145
```

Summary:
Energy of formation from the pure elements ... -0.22 eV/atom
Space group ... I-43d

---

4.
Here is crystalline K5Na3Ta3Nb5O24 at its relaxed geometry from the Materials Project database. Energies are from PBE-GGA.

```
40
Lattice="3.7456 1.3247 7.0039 5.2940 4.7819 -3.7358 -4.7746 6.3430 1.3535" Properties=species:S:1:pos:R:3 pbc="T T T"
K 5.5850 6.1663 2.7895
K 3.1989 9.3361 3.4659
K 2.9385 3.7757 4.6570
K 0.5524 6.9455 5.3334
K -1.3200 6.2834 1.8322
Na 3.7132 5.5034 -0.7124
Na 1.3260 8.6747 -0.0357
Na 1.0662 3.1125 1.1554
Ta 5.2942 4.7833 -3.7297
Ta 7.1617 5.4437 -0.2376
Ta 2.6498 2.3946 -1.8633
Nb 2.9091 7.9518 -3.0537
Nb 4.7767 8.6124 0.4386
Nb 4.5174 3.0549 1.6288
Nb 0.2645 5.5631 -1.1875
Nb 2.1322 6.2235 2.3048
O 3.9763 3.5894 -2.7914
O 5.8429 4.2524 0.6855
O 1.5892 6.7595 -2.1147
O 3.4511 7.4182 1.3658
O 1.3229 1.2009 -0.9264
O 3.1838 1.8561 2.5669
O -1.0572 4.3635 -0.2521
O 0.8088 5.0231 3.2380
O 4.1116 6.3615 -3.3882
O 5.9726 7.0203 0.0925
O 1.7064 9.5448 -2.7101
O 3.5730 10.2043 0.7794
O 1.4650 3.9717 -1.5207
O 3.3217 4.6363 1.9614
O -0.9324 7.1603 -0.8478
O 0.9386 7.8140 2.6406
O 8.1027 5.7757 1.5181
O 6.2228 5.1141 -1.9817
O 5.7159 8.9461 2.1941
O 3.8427 8.2767 -1.3065
O 5.4604 3.3868 3.3925
O 3.5798 2.7288 -0.1260
O 3.0699 6.5560 4.0620
O 1.2030 5.8924 0.5556
```

Summary:
Energy of formation from the pure elements ... -2.92 eV/atom
Space group ... P1